(1)
44
Lattice="12.004 0.000 0.000 0.000 21.702 0.000 0.000 0.000 3.973" Properties=species:S:1:pos:R:3 comment="PBE-GGA Nd4In5S13, relaxed" final_energy_ev_per_cell=-226.41 mass_density_g_cm3=5.03 sg="Pbam, No. 55" formation_enthalpy_0k_ev_per_atom=-1.506 pbc="T T T"
Nd 0.215 3.677 0.000
Nd 2.030 7.428 0.000
Nd 3.972 18.279 0.000
Nd 5.787 14.528 0.000
Nd 6.217 7.174 0.000
Nd 8.032 3.424 0.000
Nd 9.975 14.275 0.000
Nd 11.789 18.025 0.000
In 0.000 10.851 0.000
In 1.849 14.541 1.987
In 1.862 21.545 1.987
In 4.140 10.694 1.987
In 4.153 3.690 1.987
In 6.002 0.000 0.000
In 7.851 18.012 1.987
In 7.864 11.008 1.987
In 10.142 0.157 1.987
In 10.155 7.161 1.987
S 0.000 0.000 0.000
S 0.021 8.860 1.987
S 0.945 5.666 1.987
S 1.828 18.816 1.987
S 1.939 2.460 1.987
S 2.025 16.039 0.000
S 2.431 10.348 0.000
S 3.571 21.199 0.000
S 3.977 5.188 0.000
S 4.063 13.311 1.987
S 4.174 7.965 1.987
S 5.057 16.517 1.987
S 5.981 19.711 1.987
S 6.002 10.851 0.000
S 6.023 1.991 1.987
S 6.947 5.185 1.987
S 7.830 13.737 1.987
S 7.941 8.391 1.987
S 8.027 16.514 0.000
S 8.433 0.503 0.000
S 9.573 11.354 0.000
S 9.979 5.663 0.000
S 10.065 19.242 1.987
S 10.177 2.886 1.987
S 11.059 16.036 1.987
S 11.983 12.842 1.987

---

(2)
8
Lattice="4.740 0.000 0.000 0.000 4.766 0.000 0.000 0.000 9.501" Properties=species:S:1:pos:R:3 comment="PBE-GGA Nd2In3Sn3, relaxed" final_energy_ev_per_cell=-33.70 mass_density_g_cm3=7.65 sg="Pmmm, No. 47" formation_enthalpy_0k_ev_per_atom=-0.485 pbc="T T T"
Nd 0.000 0.000 2.344
Nd 0.000 0.000 7.157
In 0.000 2.383 4.750
In 2.370 2.383 2.387
In 2.370 2.383 7.114
Sn 0.000 2.383 0.000
Sn 2.370 0.000 0.000
Sn 2.370 0.000 4.750

---

(3)
4
Lattice="0.000 3.828 3.828 3.828 0.000 3.828 3.828 3.828 0.000" Properties=species:S:1:pos:R:3 comment="PBE-GGA NdYIn2, relaxed" final_energy_ev_per_cell=-18.70 mass_density_g_cm3=6.85 sg="Fm-3m, No. 225" formation_enthalpy_0k_ev_per_atom=-0.490 pbc="T T T"
Nd 0.000 0.000 0.000
Y 3.828 3.828 3.828
In 1.914 1.914 1.914
In 5.743 5.743 5.743